(1)
## Y2Hf2SiS5O24 (GGA-PBE)

Data for crystalline Y2Hf2SiS5O24 at its relaxed geometry.

Computed properties:
Calculated volume = 16.60 A^3/atom
Space-group type = P1 (1)
Formation energy = -2.74 eV per atom

Cell lengths 9.104, 9.127, 23.507 Å; angles 89.75, 89.91, 60.09 degrees
Atoms (fractional coordinates):
Y1 0.000 0.000 0.000
Y2 0.002 0.995 0.203
Y3 0.325 0.329 0.876
Y4 0.333 0.328 0.379
Y5 0.659 0.665 0.826
Y6 0.984 0.994 0.703
Hf1 0.326 0.322 0.164
Hf2 0.333 0.323 0.659
Hf3 0.653 0.669 0.041
Hf4 0.656 0.662 0.540
Hf5 0.660 0.655 0.331
Hf6 0.973 0.006 0.496
Si1 0.290 0.997 0.101
Si2 0.666 0.378 0.436
Si3 0.700 0.994 0.600
S1 0.032 0.340 0.268
S2 0.045 0.612 0.766
S3 0.283 0.704 0.600
S4 0.324 0.049 0.766
S5 0.332 0.615 0.268
S6 0.373 0.938 0.436
S7 0.376 0.662 0.936
S8 0.607 0.331 0.766
S9 0.610 0.038 0.268
S10 0.661 0.946 0.936
S11 0.691 0.297 0.101
S12 0.935 0.671 0.436
S13 0.940 0.381 0.936
S14 0.993 0.696 0.102
S15 0.994 0.288 0.600
O1 0.003 0.198 0.259
O2 0.027 0.769 0.051
O3 0.028 0.175 0.550
O4 0.028 0.779 0.761
O5 0.101 0.520 0.428
O6 0.110 0.364 0.931
O7 0.118 0.364 0.217
O8 0.131 0.506 0.716
O9 0.137 0.311 0.319
O10 0.144 0.526 0.114
O11 0.144 0.532 0.818
O12 0.145 0.310 0.610
O13 0.172 0.036 0.046
O14 0.175 0.029 0.758
O15 0.175 0.784 0.550
O16 0.184 0.784 0.261
O17 0.206 0.810 0.943
O18 0.207 0.950 0.445
O19 0.209 0.959 0.157
O20 0.215 0.808 0.651
O21 0.301 0.534 0.611
O22 0.303 0.148 0.818
O23 0.306 0.536 0.319
O24 0.315 0.161 0.117
O25 0.344 0.138 0.715
O26 0.352 0.107 0.428
O27 0.360 0.509 0.217
O28 0.364 0.507 0.931
O29 0.453 0.687 0.884
O30 0.456 0.678 0.590
O31 0.457 0.835 0.384
O32 0.479 0.835 0.087
O33 0.479 0.882 0.771
O34 0.483 0.859 0.486
O35 0.485 0.642 0.986
O36 0.486 0.634 0.277
O37 0.499 0.125 0.217
O38 0.499 0.351 0.716
O39 0.504 0.356 0.428
O40 0.506 0.113 0.931
O41 0.512 0.163 0.613
O42 0.518 0.324 0.114
O43 0.530 0.307 0.818
O44 0.532 0.143 0.318
O45 0.619 0.486 0.771
O46 0.623 0.870 0.276
O47 0.641 0.856 0.986
O48 0.646 0.497 0.490
O49 0.671 0.837 0.584
O50 0.672 0.466 0.089
O51 0.682 0.846 0.884
O52 0.689 0.474 0.379
O53 0.760 0.188 0.051
O54 0.777 0.184 0.759
O55 0.779 0.016 0.257
O56 0.797 0.026 0.545
O57 0.799 0.223 0.152
O58 0.809 0.966 0.945
O59 0.814 0.960 0.655
O60 0.828 0.701 0.383
O61 0.838 0.193 0.446
O62 0.841 0.461 0.884
O63 0.847 0.668 0.089
O64 0.848 0.459 0.588
O65 0.852 0.649 0.486
O66 0.855 0.486 0.986
O67 0.863 0.499 0.276
O68 0.875 0.628 0.771
O69 0.953 0.806 0.151
O70 0.956 0.213 0.942
O71 0.957 0.821 0.444
O72 0.961 0.218 0.651

---

(2)
## Hf3ZnSiS5O24 (GGA-PBE)

Data for crystalline Hf3ZnSiS5O24 at its relaxed geometry.

Computed properties:
Calculated volume = 15.38 A^3/atom
Space-group type = P1 (1)
Formation energy = -2.55 eV per atom

Cell lengths 8.884, 8.894, 22.913 Å; angles 89.68, 89.73, 60.05 degrees
Atoms (fractional coordinates):
Hf1 0.000 0.000 0.000
Hf2 0.000 0.007 0.713
Hf3 0.000 0.016 0.212
Hf4 0.326 0.338 0.377
Hf5 0.339 0.342 0.884
Hf6 0.656 0.683 0.045
Hf7 0.660 0.685 0.839
Hf8 0.667 0.675 0.548
Hf9 0.673 0.668 0.333
Zn1 0.000 0.009 0.505
Zn2 0.322 0.345 0.170
Zn3 0.333 0.342 0.672
Si1 0.049 0.339 0.271
Si2 0.378 0.676 0.942
Si3 0.668 0.962 0.941
S1 0.004 0.715 0.108
S2 0.006 0.294 0.607
S3 0.046 0.627 0.772
S4 0.286 0.717 0.607
S5 0.289 0.013 0.108
S6 0.333 0.629 0.273
S7 0.334 0.054 0.772
S8 0.375 0.963 0.442
S9 0.621 0.054 0.273
S10 0.621 0.343 0.772
S11 0.670 0.383 0.442
S12 0.705 0.298 0.108
S13 0.709 0.013 0.607
S14 0.954 0.387 0.941
S15 0.955 0.679 0.441
O1 0.022 0.171 0.265
O2 0.025 0.806 0.763
O3 0.026 0.804 0.056
O4 0.029 0.190 0.555
O5 0.124 0.524 0.720
O6 0.127 0.368 0.931
O7 0.129 0.521 0.433
O8 0.132 0.379 0.216
O9 0.153 0.320 0.617
O10 0.153 0.553 0.825
O11 0.159 0.547 0.114
O12 0.165 0.311 0.331
O13 0.177 0.032 0.764
O14 0.177 0.803 0.266
O15 0.180 0.036 0.056
O16 0.181 0.798 0.555
O17 0.191 0.847 0.951
O18 0.203 0.984 0.450
O19 0.206 0.979 0.160
O20 0.207 0.831 0.659
O21 0.300 0.161 0.825
O22 0.307 0.548 0.327
O23 0.312 0.161 0.115
O24 0.312 0.544 0.617
O25 0.353 0.510 0.930
O26 0.363 0.130 0.720
O27 0.365 0.135 0.434
O28 0.371 0.522 0.222
O29 0.460 0.855 0.389
O30 0.461 0.851 0.102
O31 0.463 0.702 0.598
O32 0.469 0.703 0.883
O33 0.484 0.655 0.285
O34 0.486 0.878 0.781
O35 0.491 0.878 0.494
O36 0.496 0.149 0.930
O37 0.503 0.638 0.998
O38 0.512 0.370 0.433
O39 0.516 0.371 0.720
O40 0.517 0.127 0.222
O41 0.536 0.161 0.617
O42 0.536 0.316 0.118
O43 0.543 0.163 0.327
O44 0.545 0.309 0.825
O45 0.638 0.871 0.998
O46 0.640 0.499 0.494
O47 0.641 0.879 0.286
O48 0.649 0.491 0.782
O49 0.693 0.471 0.389
O50 0.694 0.851 0.598
O51 0.697 0.468 0.101
O52 0.703 0.842 0.884
O53 0.790 0.037 0.555
O54 0.793 0.189 0.056
O55 0.799 0.029 0.266
O56 0.799 0.184 0.764
O57 0.822 0.212 0.160
O58 0.823 0.213 0.450
O59 0.824 0.978 0.659
O60 0.832 0.990 0.951
O61 0.843 0.471 0.598
O62 0.845 0.703 0.390
O63 0.847 0.464 0.888
O64 0.847 0.699 0.100
O65 0.857 0.506 0.286
O66 0.870 0.650 0.781
O67 0.872 0.646 0.494
O68 0.877 0.495 0.993
O69 0.970 0.215 0.660
O70 0.972 0.829 0.160
O71 0.974 0.214 0.950
O72 0.974 0.831 0.450

---

(3)
## HfZnS3O12 (GGA-PBE)

Data for crystalline HfZnS3O12 at its relaxed geometry.

Computed properties:
Calculated volume = 14.79 A^3/atom
Formation energy = -2.25 eV per atom

Cell lengths 8.782, 8.782, 22.586 Å; angles 90.00, 90.00, 120.00 degrees
Atoms (fractional coordinates):
O1 0.458 0.156 0.530
O2 0.819 0.789 0.303
O3 0.637 0.123 0.137
O4 0.458 0.302 0.030
O5 0.125 0.635 0.364
O6 0.689 0.533 0.241
O7 0.844 0.533 0.741
O8 0.970 0.789 0.803
O9 0.032 0.209 0.197
O10 0.202 0.026 0.592
O11 0.307 0.465 0.758
O12 0.970 0.181 0.303
O13 0.177 0.209 0.697
O14 0.134 0.644 0.074
O15 0.511 0.644 0.574
O16 0.486 0.363 0.137
O17 0.844 0.302 0.530
O18 0.510 0.875 0.364
O19 0.974 0.175 0.592
O20 0.544 0.847 0.470
O21 0.307 0.842 0.258
O22 0.125 0.490 0.864
O23 0.868 0.360 0.925
O24 0.211 0.030 0.303
O25 0.825 0.798 0.592
O26 0.303 0.456 0.470
O27 0.544 0.697 0.970
O28 0.844 0.542 0.030
O29 0.491 0.132 0.925
O30 0.819 0.030 0.803
O31 0.177 0.200 0.408
O32 0.022 0.200 0.908
O33 0.467 0.311 0.741
O34 0.467 0.156 0.241
O35 0.153 0.456 0.970
O36 0.698 0.542 0.530
O37 0.356 0.866 0.574
O38 0.486 0.123 0.637
O39 0.637 0.514 0.637
O40 0.134 0.489 0.574
O41 0.510 0.635 0.864
O42 0.791 0.968 0.697
O43 0.177 0.978 0.908
O44 0.640 0.509 0.925
O45 0.800 0.823 0.908
O46 0.032 0.823 0.697
O47 0.177 0.968 0.197
O48 0.640 0.132 0.425
O49 0.491 0.360 0.425
O50 0.202 0.175 0.092
O51 0.825 0.026 0.092
O52 0.868 0.509 0.425
O53 0.211 0.181 0.803
O54 0.022 0.823 0.408
O55 0.365 0.875 0.864
O56 0.356 0.489 0.074
O57 0.877 0.514 0.137
O58 0.791 0.823 0.197
O59 0.303 0.847 0.970
O60 0.974 0.798 0.092
O61 0.158 0.693 0.758
O62 0.365 0.490 0.364
O63 0.511 0.866 0.074
O64 0.800 0.978 0.408
O65 0.844 0.311 0.241
O66 0.689 0.156 0.741
O67 0.877 0.363 0.637
O68 0.153 0.697 0.470
O69 0.535 0.842 0.758
O70 0.158 0.465 0.258
O71 0.698 0.156 0.030
O72 0.535 0.693 0.258
S1 0.293 0.006 0.251
S2 0.713 0.707 0.251
S3 0.380 0.040 0.584
S4 0.713 0.006 0.751
S5 0.327 0.374 0.418
S6 0.994 0.287 0.251
S7 0.960 0.620 0.084
S8 0.661 0.040 0.084
S9 0.293 0.287 0.751
S10 0.380 0.339 0.084
S11 0.327 0.954 0.918
S12 0.046 0.673 0.418
S13 0.046 0.374 0.918
S14 0.960 0.339 0.584
S15 0.661 0.620 0.584
S16 0.994 0.707 0.751
S17 0.626 0.954 0.418
S18 0.626 0.673 0.918
Zn1 0.000 0.000 0.353
Zn2 0.667 0.333 0.187
Zn3 0.667 0.333 0.687
Zn4 0.333 0.667 0.520
Zn5 0.000 0.000 0.853
Zn6 0.333 0.667 0.020
Hf1 0.000 0.000 0.644
Hf2 0.000 0.000 0.144
Hf3 0.333 0.667 0.311
Hf4 0.667 0.333 0.478
Hf5 0.333 0.667 0.811
Hf6 0.667 0.333 0.978

---

(4)
## Hf3Sc4O12 (GGA-PBE)

Data for crystalline Hf3Sc4O12 at its relaxed geometry.

Computed properties:
Calculated volume = 11.84 A^3/atom
Relative energy among the computed polymorphs = 0.003 eV per atom
Space-group type = P1 (1)
Formation energy = -3.97 eV per atom

Cell lengths 6.170, 6.185, 29.887 Å; angles 90.12, 90.19, 99.49 degrees
Atoms (fractional coordinates):
Hf1 0.000 0.000 0.000
Hf2 0.022 0.848 0.113
Hf3 0.094 0.151 0.877
Hf4 0.142 0.666 0.538
Hf5 0.199 0.199 0.200
Hf6 0.223 0.049 0.313
Hf7 0.342 0.867 0.738
Hf8 0.397 0.398 0.400
Hf9 0.432 0.249 0.510
Hf10 0.528 0.886 0.061
Hf11 0.596 0.596 0.601
Hf12 0.632 0.450 0.711
Hf13 0.728 0.087 0.261
Hf14 0.797 0.793 0.802
Hf15 0.813 0.648 0.913
Sc1 0.062 0.291 0.767
Sc2 0.124 0.472 0.660
Sc3 0.159 0.856 0.417
Sc4 0.267 0.493 0.967
Sc5 0.291 0.351 0.077
Sc6 0.327 0.679 0.861
Sc7 0.359 0.060 0.617
Sc8 0.464 0.689 0.168
Sc9 0.491 0.550 0.277
Sc10 0.541 0.067 0.938
Sc11 0.558 0.258 0.817
Sc12 0.664 0.888 0.367
Sc13 0.691 0.753 0.474
Sc14 0.742 0.270 0.138
Sc15 0.759 0.455 0.018
Sc16 0.860 0.090 0.566
Sc17 0.891 0.952 0.673
Sc18 0.927 0.274 0.459
Sc19 0.942 0.469 0.339
Sc20 0.957 0.654 0.218
O1 0.009 0.693 0.974
O2 0.020 0.700 0.475
O3 0.032 0.808 0.855
O4 0.042 0.967 0.254
O5 0.049 0.178 0.623
O6 0.050 0.945 0.761
O7 0.051 0.332 0.023
O8 0.052 0.333 0.527
O9 0.052 0.802 0.350
O10 0.056 0.183 0.123
O11 0.069 0.455 0.903
O12 0.075 0.444 0.403
O13 0.209 0.889 0.175
O14 0.221 0.901 0.675
O15 0.234 0.002 0.052
O16 0.234 0.151 0.954
O17 0.244 0.165 0.455
O18 0.247 0.374 0.824
O19 0.249 0.531 0.224
O20 0.251 0.533 0.727
O21 0.254 0.383 0.322
O22 0.257 0.999 0.549
O23 0.269 0.640 0.603
O24 0.281 0.666 0.103
O25 0.406 0.088 0.375
O26 0.411 0.092 0.874
O27 0.433 0.202 0.252
O28 0.441 0.351 0.157
O29 0.443 0.367 0.655
O30 0.449 0.731 0.423
O31 0.453 0.590 0.024
O32 0.456 0.200 0.750
O33 0.456 0.588 0.523
O34 0.461 0.726 0.925
O35 0.473 0.842 0.803
O36 0.481 0.866 0.302
O37 0.604 0.289 0.575
O38 0.609 0.274 0.073
O39 0.633 0.404 0.454
O40 0.640 0.550 0.357
O41 0.645 0.563 0.854
O42 0.645 0.930 0.623
O43 0.651 0.400 0.952
O44 0.653 0.789 0.224
O45 0.656 0.788 0.723
O46 0.657 0.927 0.125
O47 0.673 0.035 0.003
O48 0.677 0.056 0.504
O49 0.807 0.488 0.775
O50 0.808 0.474 0.273
O51 0.832 0.604 0.654
O52 0.843 0.766 0.054
O53 0.849 0.131 0.826
O54 0.850 0.744 0.561
O55 0.850 0.979 0.423
O56 0.852 0.989 0.922
O57 0.853 0.602 0.151
O58 0.855 0.128 0.325
O59 0.872 0.237 0.202
O60 0.878 0.255 0.704

---

Question: Which formula does entry 2 have?
Answer: Hf3ZnSiS5O24

---

Question: The lowest calculated volume belongs to which entry?
Answer: Hf3Sc4O12